Computed, not measured: a geometry-optimized Ba3MgMn3O9 structure at the GGA+U level of DFT.

abc: 5.817 5.835 8.232
angles: 82.20 70.06 61.01
Space group P1 (No. 1)
Asymmetric unit:
Ba: 0.000 0.000 0.000 x1
Ba: 0.187 0.308 0.295 x1
Ba: 0.385 0.639 0.562 x1
Mg: 0.453 0.263 0.847 x1
Mn: 0.581 0.664 0.151 x1
Mn: 0.745 0.726 0.796 x1
Mn: 0.788 0.926 0.472 x1
O: 0.045 0.539 0.899 x1
O: 0.152 0.837 0.309 x1
O: 0.452 0.988 0.686 x1
O: 0.515 0.974 0.006 x1
O: 0.553 0.523 0.934 x1
O: 0.667 0.831 0.306 x1
O: 0.678 0.350 0.269 x1
O: 0.860 0.003 0.682 x1
O: 0.925 0.539 0.589 x1

offset from the most stable computed form = 0.52 eV/f.u.
E = -106.9 eV for the cell shown